Material: Li8Nb2O9
Method: DFT, r²SCAN
State: relaxed Values from VASP.

The structure in Quantum ESPRESSO input format:
```
&SYSTEM
  ibrav = 0, nat = 76, ntyp = 3
/
ATOMIC_SPECIES
Li 6.94 Li.upf
O 16.00 O.upf
Nb 92.91 Nb.upf
CELL_PARAMETERS angstrom
-3.592 0.833 4.555
0.223 7.294 -4.904
-9.647 -5.672 -10.251
ATOMIC_POSITIONS crystal
Li 0.785 0.873 0.450
O 0.464 0.637 0.053
Nb 0.494 0.873 0.850
Li 0.705 0.126 0.539
Nb 0.358 0.625 0.357
Li 0.209 0.876 0.263
O 0.219 0.115 0.058
O 0.706 0.116 0.062
O 0.764 0.627 0.657
Li 0.025 0.159 0.148
Li 0.745 0.592 0.153
Li 0.676 0.630 0.963
O 0.841 0.386 0.555
O 0.477 0.858 0.356
Li 0.324 0.370 0.037
Li 0.408 0.378 0.237
Li 0.255 0.408 0.847
O 0.695 0.876 0.751
Li 0.595 0.092 0.357
O 0.396 0.876 0.158
Li 0.478 0.626 0.543
Li 0.083 0.878 0.023
O 0.159 0.614 0.445
Li 0.947 0.376 0.239
Li 0.172 0.628 0.945
O 0.536 0.363 0.947
O 0.781 0.885 0.942
O 0.928 0.375 0.749
O 0.598 0.866 0.558
O 0.604 0.124 0.842
Li 0.791 0.124 0.737
Nb 0.893 0.877 0.644
Nb 0.506 0.127 0.150
O 0.294 0.884 0.938
Li 0.568 0.878 0.038
Li 0.917 0.122 0.977
Li 0.215 0.127 0.550
Nb 0.642 0.375 0.643
Li 0.522 0.374 0.457
Li 0.432 0.122 0.962
O 0.192 0.872 0.747
O 0.630 0.359 0.156
O 0.081 0.865 0.555
Li 0.329 0.123 0.738
Li 0.134 0.340 0.660
O 0.402 0.134 0.442
Li 0.828 0.372 0.055
O 0.072 0.625 0.251
O 0.370 0.641 0.844
Li 0.592 0.622 0.763
O 0.861 0.606 0.856
O 0.236 0.373 0.343
Li 0.295 0.874 0.461
Nb 0.743 0.373 0.862
O 0.456 0.374 0.752
O 0.971 0.641 0.058
O 0.305 0.124 0.249
O 0.029 0.359 0.942
Li 0.671 0.877 0.262
O 0.808 0.128 0.253
Li 0.940 0.623 0.522
Nb 0.107 0.123 0.356
O 0.544 0.626 0.248
O 0.919 0.135 0.445
Nb 0.257 0.627 0.138
Li 0.405 0.908 0.643
O 0.648 0.613 0.438
Li 0.060 0.377 0.478
O 0.014 0.108 0.656
O 0.523 0.142 0.644
O 0.352 0.387 0.562
O 0.139 0.394 0.144
Li 0.866 0.660 0.340
O 0.986 0.892 0.344
Li 0.975 0.841 0.852
Li 0.053 0.624 0.761
```

***

Material: NaCuSe
Method: DFT, r²SCAN
State: relaxed Values from VASP.

The structure in Quantum ESPRESSO input format:
```
&SYSTEM
  ibrav = 0, nat = 6, ntyp = 3
/
ATOMIC_SPECIES
Na 22.99 Na.upf
Cu 63.55 Cu.upf
Se 78.96 Se.upf
CELL_PARAMETERS angstrom
4.045 0.000 0.000
0.000 4.045 0.000
0.000 0.000 6.805
ATOMIC_POSITIONS crystal
Na 0.250 0.250 0.163
Cu 0.250 0.750 0.500
Se 0.750 0.750 0.276
Cu 0.750 0.250 0.500
Na 0.750 0.750 0.837
Se 0.250 0.250 0.724
```

***

Material: La2Ge2O7
Method: DFT, r²SCAN
State: relaxed Values from VASP.

The structure in Quantum ESPRESSO input format:
```
&SYSTEM
  ibrav = 0, nat = 44, ntyp = 3
/
ATOMIC_SPECIES
La 138.91 La.upf
O 16.00 O.upf
Ge 72.64 Ge.upf
CELL_PARAMETERS angstrom
-5.449 -2.130 -3.904
4.276 -0.233 -5.632
2.343 -12.108 3.394
ATOMIC_POSITIONS crystal
La 0.666 0.172 0.893
O 0.395 0.578 0.700
O 0.035 0.229 0.567
O 0.627 0.864 0.788
O 0.708 0.222 0.684
O 0.073 0.414 0.316
Ge 0.375 0.734 0.598
O 0.965 0.771 0.433
La 0.633 0.762 0.371
O 0.299 0.566 0.494
Ge 0.148 0.621 0.385
O 0.701 0.434 0.506
O 0.298 0.719 0.911
O 0.646 0.509 0.874
La 0.119 0.086 0.361
O 0.248 0.098 0.005
La 0.881 0.914 0.639
O 0.004 0.012 0.184
La 0.334 0.828 0.107
O 0.752 0.902 0.995
O 0.006 0.667 0.080
Ge 0.511 0.327 0.172
Ge 0.625 0.266 0.402
La 0.950 0.668 0.883
O 0.927 0.586 0.684
O 0.222 0.919 0.621
O 0.652 0.785 0.192
O 0.702 0.281 0.089
Ge 0.489 0.673 0.828
La 0.367 0.238 0.629
Ge 0.852 0.379 0.615
O 0.778 0.081 0.379
O 0.292 0.778 0.316
Ge 0.844 0.852 0.117
O 0.373 0.136 0.212
O 0.994 0.333 0.920
O 0.348 0.215 0.808
O 0.585 0.836 0.555
O 0.415 0.164 0.445
O 0.996 0.988 0.816
Ge 0.156 0.148 0.883
O 0.605 0.422 0.300
La 0.050 0.332 0.117
O 0.354 0.491 0.126
```

***

Material: Zr6NiSn2
Method: DFT, r²SCAN
State: relaxed Values from VASP.

The structure in Quantum ESPRESSO input format:
```
&SYSTEM
  ibrav = 0, nat = 9, ntyp = 3
/
ATOMIC_SPECIES
Sn 118.71 Sn.upf
Zr 91.22 Zr.upf
Ni 58.69 Ni.upf
CELL_PARAMETERS angstrom
3.973 -6.882 0.000
3.973 6.882 0.000
0.000 0.000 3.544
ATOMIC_POSITIONS crystal
Sn 0.667 0.333 0.500
Sn 0.333 0.667 0.500
Zr 0.602 0.000 0.000
Ni 0.000 0.000 0.000
Zr 0.757 0.757 0.500
Zr 0.243 0.000 0.500
Zr 0.000 0.602 0.000
Zr 0.000 0.243 0.500
Zr 0.398 0.398 0.000
```

***

Material: CoNiP2S6
Method: DFT, r²SCAN
State: relaxed Values from VASP.

The structure in Quantum ESPRESSO input format:
```
&SYSTEM
  ibrav = 0, nat = 10, ntyp = 4
/
ATOMIC_SPECIES
P 30.97 P.upf
Co 58.93 Co.upf
S 32.06 S.upf
Ni 58.69 Ni.upf
CELL_PARAMETERS angstrom
5.063 2.875 -0.034
-5.063 2.875 -0.034
0.000 1.840 6.512
ATOMIC_POSITIONS crystal
P 0.941 0.944 0.165
Co 0.661 0.339 0.000
S 0.740 0.735 0.762
P 0.056 0.059 0.835
Ni 0.333 0.667 0.000
S 0.582 0.922 0.236
S 0.915 0.572 0.218
S 0.265 0.260 0.238
S 0.078 0.418 0.764
S 0.428 0.085 0.782
```

***

Material: SrMnN2
Method: DFT, r²SCAN
State: relaxed Values from VASP.

The structure in Quantum ESPRESSO input format:
```
&SYSTEM
  ibrav = 0, nat = 16, ntyp = 3
/
ATOMIC_SPECIES
N 14.01 N.upf
Mn 54.94 Mn.upf
Sr 87.62 Sr.upf
CELL_PARAMETERS angstrom
7.725 0.000 0.000
0.000 5.555 0.001
0.000 2.350 5.440
ATOMIC_POSITIONS crystal
N 0.803 0.578 0.197
Mn 0.862 0.919 0.099
Sr 0.912 0.669 0.666
Mn 0.638 0.419 0.099
N 0.920 0.085 0.766
N 0.303 0.922 0.803
Sr 0.088 0.331 0.334
N 0.420 0.415 0.234
N 0.580 0.585 0.766
Sr 0.588 0.169 0.666
N 0.197 0.422 0.803
Mn 0.138 0.081 0.901
N 0.697 0.078 0.197
Sr 0.412 0.831 0.334
Mn 0.362 0.581 0.901
N 0.080 0.915 0.234
```

***

Material: K3MoCl6
Method: DFT, r²SCAN
State: relaxed Values from VASP.

The structure in Quantum ESPRESSO input format:
```
&SYSTEM
  ibrav = 0, nat = 40, ntyp = 3
/
ATOMIC_SPECIES
Mo 95.94 Mo.upf
Cl 35.45 Cl.upf
K 39.10 K.upf
CELL_PARAMETERS angstrom
7.594 0.000 0.000
0.000 12.077 -0.012
0.000 4.012 12.092
ATOMIC_POSITIONS crystal
Mo 0.000 0.000 0.000
Cl 0.820 0.649 0.369
K 0.071 0.614 0.181
Mo 0.500 0.500 0.000
Cl 0.320 0.851 0.631
Cl 0.294 0.395 0.147
Cl 0.771 0.901 0.593
Cl 0.868 0.813 0.000
Mo 0.500 0.000 0.500
K 0.555 0.646 0.595
Cl 0.202 0.994 0.851
K 0.929 0.386 0.819
Cl 0.496 0.877 0.380
Cl 0.798 0.006 0.149
Cl 0.004 0.377 0.380
Cl 0.132 0.187 0.000
Cl 0.729 0.401 0.593
Cl 0.996 0.623 0.620
K 0.945 0.146 0.595
Cl 0.706 0.605 0.853
Cl 0.298 0.494 0.851
Cl 0.680 0.149 0.369
K 0.430 0.234 0.817
Cl 0.180 0.351 0.631
K 0.055 0.854 0.405
Cl 0.368 0.687 0.000
K 0.445 0.354 0.405
K 0.570 0.766 0.183
Cl 0.504 0.123 0.620
Cl 0.794 0.105 0.853
Mo 0.000 0.500 0.500
K 0.429 0.114 0.181
K 0.930 0.266 0.183
Cl 0.271 0.599 0.407
K 0.070 0.734 0.817
Cl 0.229 0.099 0.407
Cl 0.702 0.506 0.149
Cl 0.206 0.895 0.147
K 0.571 0.886 0.819
Cl 0.632 0.313 0.000
```

***

Material: Mg5In
Method: DFT, r²SCAN
State: relaxed Values from VASP.

The structure in Quantum ESPRESSO input format:
```
&SYSTEM
  ibrav = 0, nat = 6, ntyp = 2
/
ATOMIC_SPECIES
Mg 24.30 Mg.upf
In 114.82 In.upf
CELL_PARAMETERS angstrom
2.771 -4.800 0.000
2.771 4.800 0.000
0.000 0.000 5.060
ATOMIC_POSITIONS crystal
Mg 0.333 0.667 0.500
Mg 0.668 0.000 0.000
Mg 0.667 0.333 0.500
Mg 0.332 0.332 0.000
Mg 0.000 0.668 0.000
In 0.000 0.000 0.500
```

***

Material: SmCu2O4
Method: DFT, r²SCAN
State: relaxed Values from VASP.

The structure in Quantum ESPRESSO input format:
```
&SYSTEM
  ibrav = 0, nat = 14, ntyp = 3
/
ATOMIC_SPECIES
O 16.00 O.upf
Cu 63.55 Cu.upf
Sm 150.36 Sm.upf
CELL_PARAMETERS angstrom
-2.225 -3.721 -3.684
3.779 -3.932 1.893
-3.937 2.400 4.244
ATOMIC_POSITIONS crystal
O 0.811 0.708 0.349
Cu 0.500 0.000 0.000
O 0.713 0.527 0.855
Sm 0.875 0.125 0.749
O 0.189 0.292 0.651
Cu 0.500 0.500 0.000
O 0.142 0.828 0.855
Cu 0.000 0.500 0.500
O 0.287 0.473 0.145
O 0.537 0.141 0.349
O 0.858 0.172 0.145
Cu 0.500 0.500 0.500
Sm 0.125 0.875 0.251
O 0.463 0.859 0.651
```

***

Material: YWC2
Method: DFT, r²SCAN
State: relaxed Values from VASP.

The structure in Quantum ESPRESSO input format:
```
&SYSTEM
  ibrav = 0, nat = 16, ntyp = 3
/
ATOMIC_SPECIES
W 183.84 W.upf
C 12.01 C.upf
Y 88.91 Y.upf
CELL_PARAMETERS angstrom
3.382 0.000 0.000
0.000 5.722 0.000
0.000 0.000 10.780
ATOMIC_POSITIONS crystal
W 0.250 0.903 0.389
W 0.750 0.597 0.889
C 0.250 0.221 0.518
Y 0.250 0.086 0.863
W 0.250 0.403 0.111
Y 0.250 0.586 0.637
C 0.250 0.721 0.982
C 0.250 0.659 0.253
Y 0.750 0.414 0.363
C 0.750 0.841 0.753
W 0.750 0.097 0.611
Y 0.750 0.914 0.137
C 0.750 0.279 0.018
C 0.750 0.341 0.747
C 0.250 0.159 0.247
C 0.750 0.779 0.482
```

***

Material: MgPt
Method: DFT, r²SCAN
State: relaxed Values from VASP.

The structure in Quantum ESPRESSO input format:
```
&SYSTEM
  ibrav = 0, nat = 8, ntyp = 2
/
ATOMIC_SPECIES
Mg 24.30 Mg.upf
Pt 195.08 Pt.upf
CELL_PARAMETERS angstrom
-0.260 -1.153 4.902
-4.753 -1.563 -0.620
1.662 -4.653 -1.006
ATOMIC_POSITIONS crystal
Mg 0.844 0.844 0.844
Pt 0.353 0.853 0.647
Pt 0.147 0.147 0.147
Pt 0.647 0.353 0.853
Mg 0.156 0.344 0.656
Mg 0.344 0.656 0.156
Pt 0.853 0.647 0.353
Mg 0.656 0.156 0.344
```

***

Material: Li3BO3
Method: DFT, r²SCAN
State: relaxed Values from VASP.

The structure in Quantum ESPRESSO input format:
```
&SYSTEM
  ibrav = 0, nat = 28, ntyp = 3
/
ATOMIC_SPECIES
Li 6.94 Li.upf
B 10.81 B.upf
O 16.00 O.upf
CELL_PARAMETERS angstrom
-2.564 -1.348 -8.652
-2.067 -2.278 0.967
-6.781 4.508 1.307
ATOMIC_POSITIONS crystal
Li 0.768 0.490 0.983
B 0.186 0.803 0.254
O 0.638 0.025 0.402
Li 0.428 0.093 0.367
B 0.814 0.197 0.746
Li 0.928 0.907 0.133
O 0.407 0.774 0.888
Li 0.024 0.723 0.611
Li 0.732 0.490 0.483
Li 0.072 0.093 0.867
O 0.138 0.975 0.098
B 0.314 0.803 0.754
Li 0.476 0.723 0.111
Li 0.976 0.277 0.389
O 0.862 0.025 0.902
O 0.173 0.635 0.778
O 0.673 0.365 0.722
O 0.093 0.774 0.388
Li 0.572 0.907 0.633
B 0.686 0.197 0.246
O 0.907 0.226 0.612
O 0.593 0.226 0.112
Li 0.524 0.277 0.889
O 0.327 0.635 0.278
O 0.362 0.975 0.598
O 0.827 0.365 0.222
Li 0.268 0.510 0.517
Li 0.232 0.510 0.017
```

***

Material: Ti3SiC2
Method: DFT, r²SCAN
State: relaxed Values from VASP.

The structure in Quantum ESPRESSO input format:
```
&SYSTEM
  ibrav = 0, nat = 12, ntyp = 3
/
ATOMIC_SPECIES
Ti 47.87 Ti.upf
C 12.01 C.upf
Si 28.09 Si.upf
CELL_PARAMETERS angstrom
-1.534 1.811 1.947
-1.478 -1.354 -2.325
-3.411 -13.971 10.306
ATOMIC_POSITIONS crystal
Ti 0.667 0.333 0.365
C 0.667 0.333 0.928
C 0.667 0.333 0.572
Ti 0.333 0.667 0.865
Ti 0.667 0.333 0.135
Ti 0.333 0.667 0.635
Ti 0.000 0.000 0.000
C 0.333 0.667 0.428
Si 0.000 0.000 0.750
Si 0.000 0.000 0.250
Ti 0.000 0.000 0.500
C 0.333 0.667 0.072
```

***

Material: BaF3
Method: DFT, r²SCAN
State: relaxed Values from VASP.

The structure in Quantum ESPRESSO input format:
```
&SYSTEM
  ibrav = 0, nat = 8, ntyp = 2
/
ATOMIC_SPECIES
F 19.00 F.upf
Ba 137.33 Ba.upf
CELL_PARAMETERS angstrom
4.467 0.000 0.000
0.000 4.694 -0.360
0.000 0.545 6.382
ATOMIC_POSITIONS crystal
F 0.250 0.251 0.471
F 0.750 0.749 0.529
F 0.750 0.055 0.136
Ba 0.250 0.753 0.282
F 0.750 0.465 0.131
F 0.250 0.535 0.869
F 0.250 0.945 0.864
Ba 0.750 0.247 0.718
```

***

Density: 3532; 4936; 5598; 7227; 3248; 4854; 2550; 2915; 7165; 9448; 11367; 2219; 4502; 4791 (kg/m³)
Size of the total moment: 0.000; 0.000; 0.000; 0.000; 3.000; 7.995; 12.000; 0.000; 1.995; 0.000; 0.000; 0.000; 0.000; 2.000 (Bohr magnetons per cell)
DFT total energy: -8.95; -10.30; -14.56; -22.49; -9.50; -12.84; -9.90; -7.29; -12.66; -23.27; -28.59; -7.09; -12.16; -12.05 (eV/atom)